Record 1
DFT (meta-GGA r2SCAN) results for Li3CuF6 after structural relaxation.

abc: 5.819 5.819 5.819
angles: 91.12 91.12 91.12
Fractional positions:
Li  0.249  0.066  0.556
Li  0.751  0.934  0.444
Li  0.556  0.249  0.066
Li  0.444  0.751  0.934
Li  0.066  0.556  0.249
Li  0.934  0.444  0.751
F  0.075  0.696  0.919
F  0.925  0.304  0.081
F  0.304  0.081  0.925
F  0.696  0.919  0.075
F  0.195  0.402  0.549
F  0.081  0.925  0.304
F  0.598  0.451  0.805
F  0.451  0.805  0.598
F  0.402  0.549  0.195
F  0.549  0.195  0.402
F  0.805  0.598  0.451
F  0.919  0.075  0.696
Cu  0.000  0.000  0.000
Cu  0.500  0.500  0.500

Summary:
Space-group type: R-3 (148)


Record 2
DFT (meta-GGA r2SCAN) results for Ba2MnSe3 after structural relaxation.

abc: 4.509 9.232 17.910
angles: 90.00 90.00 90.00
Fractional positions:
Se  0.750  0.998  0.601
Se  0.250  0.126  0.928
Se  0.250  0.819  0.773
Se  0.750  0.374  0.428
Se  0.250  0.626  0.572
Se  0.250  0.002  0.399
Se  0.750  0.681  0.273
Se  0.750  0.498  0.899
Se  0.750  0.874  0.072
Se  0.250  0.319  0.727
Se  0.250  0.502  0.101
Se  0.750  0.181  0.227
Ba  0.750  0.582  0.714
Ba  0.750  0.082  0.786
Ba  0.250  0.255  0.543
Ba  0.750  0.245  0.043
Ba  0.250  0.918  0.214
Ba  0.250  0.755  0.957
Ba  0.750  0.745  0.457
Ba  0.250  0.418  0.286
Mn  0.250  0.371  0.866
Mn  0.250  0.871  0.634
Mn  0.750  0.629  0.134
Mn  0.750  0.129  0.366

Summary:
Space-group type: Pnma (62)


Record 3
DFT (meta-GGA r2SCAN) results for MgCuP after structural relaxation.

abc: 3.824 6.495 7.070
angles: 90.00 90.00 90.00
Fractional positions:
Mg  0.250  0.531  0.682
Mg  0.250  0.031  0.818
Mg  0.750  0.969  0.182
Mg  0.750  0.469  0.318
Cu  0.250  0.128  0.438
Cu  0.750  0.872  0.562
Cu  0.750  0.372  0.938
Cu  0.250  0.628  0.062
P  0.750  0.246  0.620
P  0.750  0.746  0.880
P  0.250  0.754  0.380
P  0.250  0.254  0.120

Summary:
Space-group type: Pnma (62)


Record 4
DFT (meta-GGA r2SCAN) results for YbNi5 after structural relaxation.

abc: 4.779 4.779 3.912
angles: 90.00 90.00 120.00
Fractional positions:
Ni  0.667  0.333  0.000
Ni  0.500  0.500  0.500
Ni  0.333  0.667  0.000
Ni  0.500  0.000  0.500
Ni  0.000  0.500  0.500
Yb  0.000  0.000  0.000

Summary:
Space-group type: P6/mmm (191)


Record 5
DFT (meta-GGA r2SCAN) results for ZnFe5O8 after structural relaxation.

abc: 5.970 5.970 5.970
angles: 60.00 60.00 60.00
Fractional positions:
Fe  0.370  0.877  0.877
Fe  0.877  0.370  0.877
Fe  0.877  0.877  0.877
Fe  0.877  0.877  0.370
Fe  0.500  0.500  0.500
O  0.102  0.633  0.633
O  0.633  0.633  0.102
O  0.116  0.653  0.116
O  0.116  0.116  0.653
O  0.653  0.116  0.116
O  0.633  0.102  0.633
O  0.633  0.633  0.633
O  0.116  0.116  0.116
Zn  0.250  0.250  0.250

Summary:
Space-group type: F-43m (216)


Record 6
DFT (meta-GGA r2SCAN) results for Er6FeBi2 after structural relaxation.

abc: 8.232 8.232 4.165
angles: 90.00 90.00 120.00
Fractional positions:
Er  0.767  0.767  0.500
Er  0.000  0.608  0.000
Er  0.233  0.000  0.500
Er  0.608  0.000  0.000
Er  0.000  0.233  0.500
Er  0.392  0.392  0.000
Bi  0.667  0.333  0.500
Bi  0.333  0.667  0.500
Fe  0.000  0.000  0.000

Summary:
Space-group type: P-62m (189)


Record 7
DFT (meta-GGA r2SCAN) results for Ba2YbMgRuO6 after structural relaxation.

abc: 5.997 6.182 6.182
angles: 56.17 60.98 60.98
Fractional positions:
O  0.741  0.232  0.768
O  0.238  0.762  0.762
O  0.741  0.768  0.232
O  0.762  0.238  0.238
O  0.259  0.768  0.232
O  0.259  0.232  0.768
Ba  0.808  0.692  0.692
Ba  0.192  0.308  0.308
Mg  0.500  0.000  0.000
Ru  0.000  0.000  0.000
Yb  0.500  0.500  0.500

Summary:
Space-group type: Immm (71)


Record 8
DFT (meta-GGA r2SCAN) results for LaMgAg after structural relaxation.

abc: 7.873 7.873 4.383
angles: 90.00 90.00 120.00
Fractional positions:
Mg  0.234  0.000  0.000
Mg  0.000  0.234  0.000
Mg  0.766  0.766  0.000
La  0.582  0.000  0.500
La  0.000  0.582  0.500
La  0.418  0.418  0.500
Ag  0.000  0.000  0.500
Ag  0.333  0.667  0.000
Ag  0.667  0.333  0.000

Summary:
Space-group type: P-62m (189)


Record 9
DFT (meta-GGA r2SCAN) results for Sr6Cu3N5 after structural relaxation.

abc: 8.646 8.646 7.334
angles: 90.00 90.00 90.00
Fractional positions:
Sr  0.000  0.000  0.503
Sr  0.733  0.304  0.711
Sr  0.304  0.733  0.211
Sr  0.267  0.304  0.711
Sr  0.696  0.267  0.211
Sr  0.500  0.000  0.524
Sr  0.267  0.696  0.711
Sr  0.733  0.696  0.711
Sr  0.000  0.500  0.024
Sr  0.304  0.267  0.211
Sr  0.696  0.733  0.211
Sr  0.000  0.000  0.003
Cu  0.000  0.640  0.433
Cu  0.000  0.360  0.433
Cu  0.640  0.000  0.933
Cu  0.500  0.500  0.972
Cu  0.500  0.500  0.472
Cu  0.360  0.000  0.933
N  0.712  0.500  0.984
N  0.000  0.500  0.631
N  0.500  0.000  0.131
N  0.780  0.000  0.741
N  0.000  0.220  0.241
N  0.500  0.288  0.484
N  0.000  0.780  0.241
N  0.288  0.500  0.984
N  0.500  0.712  0.484
N  0.220  0.000  0.741

Summary:
Space-group type: P4_2mc (105)


Record 10
DFT (meta-GGA r2SCAN) results for Ca3Ti2O7 after structural relaxation.

abc: 10.092 10.092 5.457
angles: 90.00 90.00 148.87
Fractional positions:
Ti  0.349  0.150  0.504
Ti  0.150  0.349  0.504
Ti  0.651  0.850  0.004
Ti  0.850  0.651  0.004
O  0.454  0.623  0.708
O  0.377  0.546  0.208
O  0.927  0.151  0.786
O  0.821  0.821  0.014
O  0.623  0.454  0.708
O  0.511  0.115  0.480
O  0.849  0.073  0.286
O  0.885  0.489  0.980
O  0.151  0.927  0.786
O  0.073  0.849  0.286
O  0.179  0.179  0.514
O  0.115  0.511  0.480
O  0.489  0.885  0.980
O  0.546  0.377  0.208
Ca  0.929  0.554  0.537
Ca  0.746  0.746  0.462
Ca  0.554  0.929  0.537
Ca  0.071  0.446  0.037
Ca  0.446  0.071  0.037
Ca  0.254  0.254  0.962

Summary:
Space-group type: Cmc2_1 (36)


Record 11
DFT (meta-GGA r2SCAN) results for CaYbHg2 after structural relaxation.

abc: 5.195 5.195 5.195
angles: 60.00 60.00 60.00
Fractional positions:
Hg  0.250  0.250  0.250
Hg  0.750  0.750  0.750
Ca  0.500  0.500  0.500
Yb  0.000  0.000  0.000

Summary:
Space-group type: Fm-3m (225)


Record 12
DFT (meta-GGA r2SCAN) results for Tl3AsS3 after structural relaxation.

abc: 5.751 12.484 21.939
angles: 90.00 90.00 90.00
Fractional positions:
S  0.382  0.373  0.591
S  0.882  0.373  0.909
S  0.387  0.895  0.182
S  0.882  0.127  0.409
S  0.350  0.554  0.916
S  0.150  0.054  0.916
S  0.113  0.395  0.182
S  0.387  0.605  0.682
S  0.618  0.873  0.909
S  0.382  0.127  0.091
S  0.618  0.627  0.409
S  0.613  0.395  0.318
S  0.150  0.446  0.416
S  0.350  0.946  0.416
S  0.887  0.605  0.818
S  0.887  0.895  0.318
S  0.850  0.946  0.084
S  0.850  0.554  0.584
S  0.113  0.105  0.682
S  0.650  0.054  0.584
S  0.613  0.105  0.818
S  0.118  0.873  0.591
S  0.118  0.627  0.091
S  0.650  0.446  0.084
Tl  0.086  0.220  0.816
Tl  0.081  0.833  0.976
Tl  0.456  0.931  0.692
Tl  0.081  0.667  0.476
Tl  0.581  0.667  0.024
Tl  0.044  0.069  0.192
Tl  0.956  0.569  0.308
Tl  0.919  0.167  0.024
Tl  0.586  0.280  0.184
Tl  0.544  0.431  0.808
Tl  0.414  0.780  0.316
Tl  0.544  0.069  0.308
Tl  0.086  0.280  0.316
Tl  0.456  0.569  0.192
Tl  0.419  0.333  0.976
Tl  0.586  0.220  0.684
Tl  0.044  0.431  0.692
Tl  0.919  0.333  0.524
Tl  0.581  0.833  0.524
Tl  0.414  0.720  0.816
Tl  0.419  0.167  0.476
Tl  0.956  0.931  0.808
Tl  0.914  0.720  0.684
Tl  0.914  0.780  0.184
As  0.456  0.549  0.586
As  0.456  0.951  0.086
As  0.044  0.049  0.586
As  0.956  0.951  0.414
As  0.544  0.451  0.414
As  0.044  0.451  0.086
As  0.544  0.049  0.914
As  0.956  0.549  0.914

Summary:
Space-group type: Pbca (61)


Record 13
DFT (meta-GGA r2SCAN) results for MoCl5 after structural relaxation.

abc: 6.226 6.716 9.142
angles: 108.79 90.82 116.17
Fractional positions:
Cl  0.755  0.310  0.545
Cl  0.878  0.865  0.643
Cl  0.122  0.135  0.357
Cl  0.057  0.307  0.066
Cl  0.570  0.927  0.160
Cl  0.703  0.496  0.264
Cl  0.943  0.693  0.934
Cl  0.245  0.690  0.455
Cl  0.430  0.073  0.840
Cl  0.297  0.504  0.736
Mo  0.103  0.713  0.716
Mo  0.897  0.287  0.284

Summary:
Space-group type: P-1 (2)


Record 14
DFT (meta-GGA r2SCAN) results for Si12Ni31 after structural relaxation.

abc: 6.596 6.596 12.152
angles: 90.00 90.00 120.00
Fractional positions:
Si  0.333  0.667  0.773
Si  0.000  0.000  0.707
Si  0.000  0.351  0.500
Si  0.649  0.649  0.500
Si  0.000  0.682  0.000
Si  0.667  0.333  0.725
Si  0.000  0.000  0.293
Si  0.333  0.667  0.275
Si  0.682  0.000  0.000
Si  0.351  0.000  0.500
Si  0.667  0.333  0.227
Si  0.318  0.318  0.000
Ni  0.665  0.963  0.198
Ni  0.333  0.667  0.073
Ni  0.078  0.412  0.905
Ni  0.667  0.333  0.433
Ni  0.675  0.642  0.305
Ni  0.308  0.367  0.404
Ni  0.633  0.941  0.404
Ni  0.000  0.000  0.903
Ni  0.963  0.665  0.802
Ni  0.000  0.000  0.500
Ni  0.333  0.667  0.567
Ni  0.588  0.667  0.905
Ni  0.335  0.298  0.802
Ni  0.967  0.325  0.305
Ni  0.941  0.633  0.596
Ni  0.298  0.335  0.198
Ni  0.412  0.078  0.095
Ni  0.037  0.702  0.198
Ni  0.692  0.059  0.596
Ni  0.667  0.588  0.095
Ni  0.667  0.333  0.927
Ni  0.033  0.358  0.695
Ni  0.367  0.308  0.596
Ni  0.000  0.000  0.097
Ni  0.642  0.675  0.695
Ni  0.358  0.033  0.305
Ni  0.702  0.037  0.802
Ni  0.922  0.333  0.095
Ni  0.333  0.922  0.905
Ni  0.059  0.692  0.404
Ni  0.325  0.967  0.695

Summary:
Space-group type: P321 (150)


Record 15
DFT (meta-GGA r2SCAN) results for TbCu4Au after structural relaxation.

abc: 4.995 4.995 4.995
angles: 60.00 60.00 60.00
Fractional positions:
Cu  0.624  0.624  0.624
Cu  0.129  0.624  0.624
Cu  0.624  0.624  0.129
Cu  0.624  0.129  0.624
Tb  0.000  0.000  0.000
Au  0.250  0.250  0.250

Summary:
Space-group type: F-43m (216)


Record 16
DFT (meta-GGA r2SCAN) results for YbAuO3 after structural relaxation.

abc: 4.061 4.061 4.061
angles: 90.00 90.00 90.00
Fractional positions:
Au  0.500  0.500  0.500
O  0.500  0.000  0.500
O  0.000  0.500  0.500
O  0.500  0.500  0.000
Yb  0.000  0.000  0.000

Summary:
Space-group type: Pm-3m (221)


Listing energy of formation for the structures above in their given order: -2.599, -1.906, -0.497, -0.327, -1.601, -0.471, -2.452, -0.270, -0.619, -3.400, -0.579, -0.392, -0.936, -0.463, -0.355, -1.103 eV/atom.